[1]
Compound: Ho5Sb2Pd
Source: Materials Project
Functional: GGA-PBE
Structure: optimized geometry

Properties
The calculated formation energy is -19.236 kcal/mol of atoms. The total magnetic moment is 0.00 μB per atom.

Cell and atoms, written as CIF:
```
data_Ho5Sb2Pd
_chemical_formula_sum 'Ho20 Sb8 Pd4'
_space_group_name_H-M_alt 'P n m a'
_space_group_IT_number 62
_space_group_name_Hall '-P 2ac 2n'
_cell_length_a 12.122
_cell_length_b 8.934
_cell_length_c 7.927
_cell_angle_alpha 90.00
_cell_angle_beta 90.00
_cell_angle_gamma 90.00
loop_
_atom_site_label
_atom_site_type_symbol
_atom_site_fract_x
_atom_site_fract_y
_atom_site_fract_z
Ho1 Ho 0.001 0.250 0.039
Ho2 Ho 0.067 0.049 0.682
Ho3 Ho 0.202 0.750 0.362
Ho4 Ho 0.214 0.250 0.332
Sb1 Sb 0.173 0.508 0.065
Pd1 Pd 0.016 0.750 0.585
```

***

[2]
Compound: HoSbPd2
Source: Materials Project
Functional: GGA-PBE
Structure: optimized geometry

Properties
The calculated formation energy is -20.001 kcal/mol of atoms. The total magnetic moment is 0.00 μB per atom.

Cell and atoms, written as CIF:
```
data_HoSbPd2
_chemical_formula_sum 'Ho4 Sb4 Pd8'
_space_group_name_H-M_alt 'F m -3 m'
_space_group_IT_number 225
_space_group_name_Hall '-F 4 2 3'
_cell_length_a 6.804
_cell_length_b 6.804
_cell_length_c 6.804
_cell_angle_alpha 90.00
_cell_angle_beta 90.00
_cell_angle_gamma 90.00
loop_
_atom_site_label
_atom_site_type_symbol
_atom_site_fract_x
_atom_site_fract_y
_atom_site_fract_z
Ho1 Ho 0.000 0.000 0.000
Sb1 Sb 0.000 0.000 0.500
Pd1 Pd 0.250 0.250 0.250
```

***

[3]
Compound: Ho2SiPd2
Source: Materials Project
Functional: GGA-PBE
Structure: optimized geometry

Properties
The calculated formation energy is -18.388 kcal/mol of atoms. The total magnetic moment is 0.00 μB per atom.

Cell and atoms, written as CIF:
```
data_Ho2SiPd2
_chemical_formula_sum 'Ho8 Si4 Pd8'
_space_group_name_H-M_alt 'P n n m'
_space_group_IT_number 58
_space_group_name_Hall '-P 2 2n'
_cell_length_a 7.527
_cell_length_b 13.803
_cell_length_c 4.137
_cell_angle_alpha 90.00
_cell_angle_beta 90.00
_cell_angle_gamma 90.00
loop_
_atom_site_label
_atom_site_type_symbol
_atom_site_fract_x
_atom_site_fract_y
_atom_site_fract_z
Ho1 Ho 0.039 0.126 0.000
Ho2 Ho 0.050 0.631 0.000
Si1 Si 0.153 0.472 0.500
Pd1 Pd 0.172 0.281 0.500
Pd2 Pd 0.179 0.983 0.500
```

***

[4]
Compound: HoSi2Pd2
Source: Materials Project
Functional: GGA-PBE
Structure: optimized geometry

Properties
The calculated formation energy is -21.647 kcal/mol of atoms.

Cell and atoms, written as CIF:
```
data_HoSi2Pd2
_chemical_formula_sum 'Ho2 Si4 Pd4'
_space_group_name_H-M_alt 'I 4/m m m'
_space_group_IT_number 139
_space_group_name_Hall '-I 4 2'
_cell_length_a 4.134
_cell_length_b 4.134
_cell_length_c 10.027
_cell_angle_alpha 90.00
_cell_angle_beta 90.00
_cell_angle_gamma 90.00
loop_
_atom_site_label
_atom_site_type_symbol
_atom_site_fract_x
_atom_site_fract_y
_atom_site_fract_z
Ho1 Ho 0.000 0.000 0.000
Si1 Si 0.000 0.000 0.385
Pd1 Pd 0.000 0.500 0.250
```

***

[5]
Compound: HoSiPd2
Source: Materials Project
Functional: GGA-PBE
Structure: optimized geometry

Properties
The calculated formation energy is -22.785 kcal/mol of atoms.

Cell and atoms, written as CIF:
```
data_HoSiPd2
_chemical_formula_sum 'Ho4 Si4 Pd8'
_space_group_name_H-M_alt 'P n m a'
_space_group_IT_number 62
_space_group_name_Hall '-P 2ac 2n'
_cell_length_a 7.341
_cell_length_b 6.980
_cell_length_c 5.539
_cell_angle_alpha 90.00
_cell_angle_beta 90.00
_cell_angle_gamma 90.00
loop_
_atom_site_label
_atom_site_type_symbol
_atom_site_fract_x
_atom_site_fract_y
_atom_site_fract_z
Ho1 Ho 0.028 0.250 0.144
Si1 Si 0.123 0.750 0.355
Pd1 Pd 0.177 0.051 0.594
```

***

[6]
Compound: HoSnPd
Source: Materials Project
Functional: GGA-PBE
Structure: optimized geometry

Properties
The calculated formation energy is -21.079 kcal/mol of atoms.

Cell and atoms, written as CIF:
```
data_HoSnPd
_chemical_formula_sum 'Ho4 Sn4 Pd4'
_space_group_name_H-M_alt 'P n m a'
_space_group_IT_number 62
_space_group_name_Hall '-P 2ac 2n'
_cell_length_a 7.189
_cell_length_b 4.629
_cell_length_c 7.996
_cell_angle_alpha 90.00
_cell_angle_beta 90.00
_cell_angle_gamma 90.00
loop_
_atom_site_label
_atom_site_type_symbol
_atom_site_fract_x
_atom_site_fract_y
_atom_site_fract_z
Ho1 Ho 0.009 0.250 0.207
Sn1 Sn 0.196 0.250 0.587
Pd1 Pd 0.206 0.750 0.415
```